# SrNdHfVO6 | the Materials Project | PBE with a Hubbard U | relaxed
# Calculated volume in Å³ per atom: 13.1
# ΔE_f in meV/atom: -3329
# Space group: F-43m, No. 216
data_SrNdHfVO6
_chemical_formula_sum 'Sr1 Nd1 Hf1 V1 O6'
_cell_length_a 5.7033
_cell_length_b 5.7033
_cell_length_c 5.7033
_cell_angle_alpha 60.00
_cell_angle_beta 60.00
_cell_angle_gamma 60.00
_space_group_name_H-M_alt 'P 1'
_space_group_IT_number 1
_space_group_name_Hall 'P 1'
loop_
_atom_site_label
_atom_site_type_symbol
_atom_site_fract_x
_atom_site_fract_y
_atom_site_fract_z
_atom_site_occupancy
Sr1 Sr 0.7500 0.7500 0.7500 1
Nd1 Nd 0.2500 0.2500 0.2500 1
Hf1 Hf 0.0000 0.0000 0.0000 1
V1 V 0.5000 0.5000 0.5000 1
O1 O 0.7466 0.2534 0.2534 1
O2 O 0.2534 0.7466 0.7466 1
O3 O 0.7466 0.2534 0.7466 1
O4 O 0.2534 0.7466 0.2534 1
O5 O 0.7466 0.7466 0.2534 1
O6 O 0.2534 0.2534 0.7466 1